Entry from the Materials Project database: a relaxed AgSb3PbS6 crystal (PBE).

space group: No. 14
DFT formation energy: -0.55 eV per atom
size of the total moment: 0.00 μB per cell
E above lowest polymorph: 0 meV/atom

Geometry as CIF:
```
data_AgSb3PbS6
_cell_length_a 19.4615
_cell_length_b 17.2794
_cell_length_c 13.2573
_cell_angle_alpha 90.00
_cell_angle_beta 90.24
_cell_angle_gamma 90.00
_space_group_name_H-M_alt 'P 1'
_space_group_IT_number 1
loop_
_space_group_symop_operation_xyz
'x,y,z'
loop_
_atom_site_label
_atom_site_type_symbol
_atom_site_fract_x
_atom_site_fract_y
_atom_site_fract_z
Ag1 Ag 0.1331 0.0672 0.3344
Ag2 Ag 0.1331 0.4328 0.8344
Ag3 Ag 0.1431 0.6780 0.8342
Ag4 Ag 0.1431 0.8220 0.3342
Ag5 Ag 0.3561 0.1863 0.8493
Ag6 Ag 0.3561 0.3137 0.3493
Ag7 Ag 0.3556 0.5523 0.3254
Ag8 Ag 0.3556 0.9477 0.8254
Ag9 Ag 0.6444 0.0523 0.1746
Ag10 Ag 0.6444 0.4477 0.6746
Ag11 Ag 0.6439 0.6863 0.6507
Ag12 Ag 0.6439 0.8137 0.1507
Ag13 Ag 0.8569 0.1780 0.6658
Ag14 Ag 0.8569 0.3220 0.1658
Ag15 Ag 0.8669 0.5672 0.1656
Ag16 Ag 0.8669 0.9328 0.6656
Sb1 Sb 0.0442 0.1996 0.1141
Sb2 Sb 0.0442 0.3004 0.6141
Sb3 Sb 0.0452 0.0633 0.6188
Sb4 Sb 0.0452 0.4367 0.1188
Sb5 Sb 0.0584 0.6718 0.1344
Sb6 Sb 0.0584 0.8282 0.6344
Sb7 Sb 0.0607 0.5644 0.6236
Sb8 Sb 0.0607 0.9356 0.1236
Sb9 Sb 0.1230 0.1898 0.8464
Sb10 Sb 0.1230 0.3102 0.3464
Sb11 Sb 0.1484 0.5671 0.3774
Sb12 Sb 0.1484 0.9329 0.8774
Sb13 Sb 0.3635 0.6899 0.8741
Sb14 Sb 0.3635 0.8101 0.3741
Sb15 Sb 0.3728 0.0662 0.3527
Sb16 Sb 0.3728 0.4338 0.8527
Sb17 Sb 0.4404 0.0792 0.6319
Sb18 Sb 0.4404 0.4208 0.1319
Sb19 Sb 0.4461 0.1834 0.1240
Sb20 Sb 0.4461 0.3166 0.6240
Sb21 Sb 0.4476 0.6854 0.1253
Sb22 Sb 0.4476 0.8146 0.6253
Sb23 Sb 0.4546 0.5529 0.6198
Sb24 Sb 0.4546 0.9471 0.1198
Sb25 Sb 0.5454 0.0529 0.8802
Sb26 Sb 0.5454 0.4471 0.3802
Sb27 Sb 0.5524 0.1854 0.3747
Sb28 Sb 0.5524 0.3146 0.8747
Sb29 Sb 0.5539 0.6834 0.3760
Sb30 Sb 0.5539 0.8166 0.8760
Sb31 Sb 0.5596 0.5792 0.8681
Sb32 Sb 0.5596 0.9208 0.3681
Sb33 Sb 0.6272 0.5662 0.1473
Sb34 Sb 0.6272 0.9338 0.6473
Sb35 Sb 0.6365 0.1899 0.6259
Sb36 Sb 0.6365 0.3101 0.1259
Sb37 Sb 0.8516 0.0671 0.1226
Sb38 Sb 0.8516 0.4329 0.6226
Sb39 Sb 0.8770 0.6898 0.6536
Sb40 Sb 0.8770 0.8102 0.1536
Sb41 Sb 0.9393 0.0644 0.8764
Sb42 Sb 0.9393 0.4356 0.3764
Sb43 Sb 0.9416 0.1718 0.3656
Sb44 Sb 0.9416 0.3282 0.8656
Sb45 Sb 0.9548 0.5633 0.8812
Sb46 Sb 0.9548 0.9367 0.3812
Sb47 Sb 0.9558 0.6996 0.3859
Sb48 Sb 0.9558 0.8004 0.8859
Pb1 Pb 0.2434 0.1749 0.5725
Pb2 Pb 0.2434 0.3251 0.0725
Pb3 Pb 0.2501 0.0626 0.0874
Pb4 Pb 0.2501 0.4374 0.5874
Pb5 Pb 0.2498 0.6923 0.6025
Pb6 Pb 0.2498 0.8077 0.1025
Pb7 Pb 0.2562 0.5680 0.0874
Pb8 Pb 0.2562 0.9320 0.5874
Pb9 Pb 0.7438 0.0680 0.4126
Pb10 Pb 0.7438 0.4320 0.9126
Pb11 Pb 0.7502 0.1923 0.8975
Pb12 Pb 0.7502 0.3077 0.3975
Pb13 Pb 0.7499 0.5626 0.4126
Pb14 Pb 0.7499 0.9374 0.9126
Pb15 Pb 0.7566 0.6749 0.9275
Pb16 Pb 0.7566 0.8251 0.4275
S1 S 0.0028 0.5905 0.2730
S2 S 0.0028 0.9095 0.7730
S3 S 0.0162 0.6991 0.7919
S4 S 0.0162 0.8009 0.2919
S5 S 0.0941 0.1488 0.4899
S6 S 0.0941 0.3512 0.9899
S7 S 0.0980 0.0377 0.0013
S8 S 0.0980 0.4623 0.5013
S9 S 0.0976 0.5577 0.0289
S10 S 0.0976 0.9423 0.5289
S11 S 0.1064 0.6696 0.5073
S12 S 0.1064 0.8304 0.0073
S13 S 0.1522 0.0763 0.7335
S14 S 0.1522 0.4237 0.2335
S15 S 0.1542 0.2069 0.2184
S16 S 0.1542 0.2931 0.7184
S17 S 0.1633 0.5522 0.7281
S18 S 0.1633 0.9478 0.2281
S19 S 0.1711 0.6868 0.2196
S20 S 0.1711 0.8132 0.7196
S21 S 0.2341 0.1900 0.9345
S22 S 0.2341 0.3100 0.4345
S23 S 0.2445 0.6946 0.9491
S24 S 0.2445 0.8054 0.4491
S25 S 0.2574 0.0552 0.4272
S26 S 0.2574 0.4448 0.9272
S27 S 0.2666 0.5639 0.4581
S28 S 0.2666 0.9361 0.9581
S29 S 0.3285 0.0716 0.7137
S30 S 0.3285 0.4284 0.2137
S31 S 0.3412 0.1790 0.2403
S32 S 0.3412 0.3210 0.7403
S33 S 0.3416 0.6875 0.2274
S34 S 0.3416 0.8125 0.7274
S35 S 0.3442 0.5409 0.7268
S36 S 0.3442 0.9591 0.2268
S37 S 0.3997 0.2003 0.5257
S38 S 0.3997 0.2997 0.0257
S39 S 0.4011 0.0882 0.0027
S40 S 0.4011 0.4118 0.5027
S41 S 0.4029 0.5820 0.0073
S42 S 0.4029 0.9180 0.5073
S43 S 0.4080 0.7116 0.5038
S44 S 0.4080 0.7884 0.0038
S45 S 0.4834 0.5430 0.2786
S46 S 0.4834 0.9570 0.7786
S47 S 0.4959 0.1646 0.7656
S48 S 0.4959 0.3354 0.2656
S49 S 0.5041 0.6646 0.7344
S50 S 0.5041 0.8354 0.2344
S51 S 0.5166 0.0430 0.2214
S52 S 0.5166 0.4570 0.7214
S53 S 0.5920 0.2116 0.9962
S54 S 0.5920 0.2884 0.4962
S55 S 0.5971 0.0820 0.4927
S56 S 0.5971 0.4180 0.9927
S57 S 0.5989 0.5882 0.4973
S58 S 0.5989 0.9118 0.9973
S59 S 0.6003 0.7003 0.9743
S60 S 0.6003 0.7997 0.4743
S61 S 0.6558 0.0409 0.7732
S62 S 0.6558 0.4591 0.2732
S63 S 0.6584 0.1875 0.2726
S64 S 0.6584 0.3125 0.7726
S65 S 0.6588 0.6790 0.2597
S66 S 0.6588 0.8210 0.7597
S67 S 0.6715 0.5716 0.7863
S68 S 0.6715 0.9284 0.2863
S69 S 0.7334 0.0639 0.0419
S70 S 0.7334 0.4361 0.5419
S71 S 0.7426 0.5552 0.0728
S72 S 0.7426 0.9448 0.5728
S73 S 0.7555 0.1946 0.5509
S74 S 0.7555 0.3054 0.0509
S75 S 0.7659 0.6900 0.5655
S76 S 0.7659 0.8100 0.0655
S77 S 0.8289 0.1868 0.2804
S78 S 0.8289 0.3132 0.7804
S79 S 0.8367 0.0522 0.7719
S80 S 0.8367 0.4478 0.2719
S81 S 0.8458 0.7069 0.2816
S82 S 0.8458 0.7931 0.7816
S83 S 0.8478 0.5763 0.7665
S84 S 0.8478 0.9237 0.2665
S85 S 0.8936 0.1696 0.9927
S86 S 0.8936 0.3304 0.4927
S87 S 0.9024 0.0577 0.4711
S88 S 0.9024 0.4423 0.9711
S89 S 0.9020 0.5377 0.4987
S90 S 0.9020 0.9623 0.9987
S91 S 0.9059 0.6488 0.0101
S92 S 0.9059 0.8512 0.5101
S93 S 0.9838 0.1991 0.7081
S94 S 0.9838 0.3009 0.2081
S95 S 0.9972 0.0905 0.2270
S96 S 0.9972 0.4095 0.7270
```